(1)
A plane-wave DFT calculation with PBE with a Hubbard U was carried out for an optimized crystal structure of NdMnSbO.

```
NdMnSbO
1.0
-3.7201 1.2547 -1.6527
0.4381 -2.8414 -3.1432
-4.6286 -6.6523 5.3684
O Nd Mn Sb
2 2 2 2
Cartesian
0.0000 0.0000 0.0000
-1.6410 -0.7933 -2.3979
-2.3771 -0.1157 -0.2267
-3.8926 -7.3299 3.1971
-2.3143 -3.3261 2.6842
-3.9553 -4.1195 0.2862
-1.2078 -3.4714 0.0833
-5.0618 -3.9742 2.8871
```

M_tot: 9.588 μB/cell
ΔH_f (0 K): -1729.3 meV/atom
Symmetry: P4/nmm, No. 129
V: 22.05 A^3/atom
Electronic total energy: -55.139 eV per cell

***

(2)
A plane-wave DFT calculation with PBE with a Hubbard U was carried out for an optimized crystal structure of Nd2Mn3Sb3O14.

```
Nd2Mn3Sb3O14
1.0
3.7170 6.2518 0.0000
-3.7170 6.2518 0.0000
0.0000 4.1600 6.0877
Mn O Sb Nd
3 14 3 2
Cartesian
0.0000 0.0000 0.0000
0.0000 8.3318 3.0438
0.0000 2.0800 3.0438
-1.5085 5.4340 1.0750
1.4764 7.0926 3.5435
0.0000 4.5485 3.4716
1.5085 5.4340 1.0750
0.0000 8.6808 5.1744
-1.4764 9.5710 2.5442
0.0000 14.7317 5.2395
0.0000 7.9828 0.9133
-1.4764 7.0926 3.5435
-1.5085 11.2296 5.0127
1.4764 9.5710 2.5442
0.0000 12.1151 2.6161
0.0000 1.9319 0.8482
1.5085 11.2296 5.0127
0.0000 6.2518 0.0000
-1.8585 5.2059 3.0438
1.8585 5.2059 3.0438
-1.8585 3.1259 0.0000
1.8585 3.1259 0.0000
```

M_tot: 14.000 μB/cell
ΔH_f (0 K): -2447.8 meV/atom
Symmetry: C2/m, No. 12
V: 12.86 A^3/atom
Electronic total energy: -157.911 eV per cell

***

(3)
A plane-wave DFT calculation with PBE with a Hubbard U was carried out for an optimized crystal structure of Nd4MnSe6O.

```
Nd4MnSe6O
1.0
-0.4624 2.6308 -9.3401
-8.1609 -1.8456 4.9362
-0.3666 6.7695 1.9249
Se Nd O Mn
12 8 2 2
Cartesian
-4.7548 4.0138 -0.6886
-7.2617 0.3179 3.5612
-6.7445 5.8962 -3.0574
-0.7736 1.6580 -4.5467
-4.2806 1.9774 -6.3377
-8.0737 3.2632 1.3188
-2.2344 1.4548 0.5204
-4.0925 0.9075 -2.5392
-4.5667 2.9439 3.1098
-1.7172 7.0331 -6.0981
-1.4324 5.4125 -0.3445
-7.5465 1.9385 -2.1925
-1.9519 2.9810 -2.1125
-6.9198 4.7335 3.6791
-3.3195 6.5103 -3.0539
-3.6838 5.4653 1.7217
-5.7024 1.6335 0.7424
-2.1352 4.0242 -5.8161
-7.1032 5.7767 -0.0245
-5.3713 3.2923 -3.8588
-3.1965 4.2401 -3.6995
-5.9460 6.1327 2.0217
-0.0008 0.0157 0.0045
-0.1842 3.4004 0.9669
```

M_tot: 10.005 μB/cell
ΔH_f (0 K): -1959.3 meV/atom
Symmetry: P6_3mc, No. 186
V: 24.00 A^3/atom
Electronic total energy: -150.629 eV per cell

***

(4)
A plane-wave DFT calculation with PBE with a Hubbard U was carried out for an optimized crystal structure of SrNdMn2O6.

```
SrNdMn2O6
1.0
-2.7313 2.7313 3.9867
2.7313 -2.7313 3.9867
2.7313 2.7313 -3.9867
Mn O Nd Sr
2 6 1 1
Cartesian
2.7313 0.0000 1.9933
0.0000 2.7313 1.9933
2.7313 0.0000 0.0000
1.1003 1.1003 5.8859
0.0000 2.7313 0.0000
1.6310 1.6310 1.8992
-1.1003 1.1003 2.0875
1.1003 -1.1003 2.0875
0.0000 0.0000 3.9867
0.0000 0.0000 0.0000
```

M_tot: 7.000 μB/cell
ΔH_f (0 K): -2728.2 meV/atom
Symmetry: I-42m, No. 121
V: 11.90 A^3/atom
Electronic total energy: -74.294 eV per cell

***

(5)
A plane-wave DFT calculation with PBE with a Hubbard U was carried out for an optimized crystal structure of SrNd2Mn3O9.

```
SrNd2Mn3O9
1.0
5.5513 0.0000 0.0000
0.0000 7.7344 0.0000
0.0000 0.0000 16.7876
Mn Nd O Sr
12 8 36 4
Cartesian
5.5483 3.8749 5.6058
0.0000 0.0000 0.0000
5.5483 7.7267 5.6058
0.0030 0.0077 11.1819
2.7787 3.8749 13.9996
2.7757 3.8672 8.3938
2.7726 0.0077 2.7881
2.7787 7.7267 13.9996
2.7726 3.8595 2.7881
0.0000 3.8672 0.0000
0.0030 3.8595 11.1819
2.7757 0.0000 8.3938
5.4962 5.8008 8.5920
5.4964 5.8008 3.0119
2.8305 5.8008 11.4057
2.7206 1.9336 16.5895
2.7208 1.9336 5.3819
0.0549 1.9336 13.7757
0.0551 1.9336 8.1957
2.8307 5.8008 0.1981
3.1002 1.9336 2.8771
3.2168 1.9336 14.1030
1.3012 0.2624 4.1008
3.9627 4.1390 15.6185
4.3299 7.3530 1.5470
4.0768 4.1295 4.2930
5.1102 1.9336 5.7092
4.3643 4.1390 7.2247
1.3012 3.6048 4.1008
1.2214 3.4858 15.2406
3.2273 1.9336 8.4521
1.5542 0.3813 6.8468
1.1871 3.5954 9.5629
5.0997 1.9336 0.0583
1.1871 0.2718 9.5629
4.2501 7.4720 12.6868
5.2268 1.9336 11.2709
2.4512 5.8008 13.9105
4.3643 7.4625 7.2247
1.4745 3.6048 12.4947
4.2501 4.1295 12.6868
0.3245 5.8008 5.5167
0.4516 5.8008 16.7293
2.3240 5.8008 8.3355
1.2214 0.3813 15.2406
1.5886 3.5954 1.1691
2.3345 5.8008 2.6846
0.4411 5.8008 11.0784
1.5886 0.2718 1.1691
1.4745 0.2624 12.4947
4.0768 7.4720 4.2930
3.9971 7.3530 9.9408
1.5542 3.4858 6.8468
4.3299 4.2485 1.5470
3.9971 4.2485 9.9408
3.9627 7.4625 15.6185
2.8056 5.8008 5.7248
0.0299 1.9336 2.6690
5.5214 5.8008 14.1186
2.7457 1.9336 11.0628
```

ΔH_f (0 K): -2816.8 meV/atom
Symmetry: Pnma, No. 62
V: 12.01 A^3/atom
Electronic total energy: -457.236 eV per cell

***

(6)
A plane-wave DFT calculation with PBE with a Hubbard U was carried out for an optimized crystal structure of SrNdMn2O5.

```
SrNdMn2O5
1.0
-5.9821 -2.5006 6.2625
1.7431 -3.9580 -7.9091
0.7034 -5.3636 0.9350
O Mn Nd Sr
10 4 2 2
Cartesian
-3.7354 -10.0234 1.1454
-1.8007 -1.4211 1.3735
-1.9423 -10.3616 -2.1441
-1.1122 -4.0659 -0.1881
-2.3605 -6.9765 -0.5693
-3.6162 -5.5465 3.0297
-0.2263 -3.5873 -4.2409
0.0409 -1.7685 -2.0048
-3.9666 -2.8817 2.6205
0.0775 -6.2433 -3.7462
-4.4037 -9.8334 3.2437
-0.6044 -7.2773 0.4189
-0.5412 -10.5621 -3.8418
-2.8363 -5.0194 -1.0300
0.5142 -4.4479 -1.9045
-1.6885 -4.0323 2.1364
-1.8349 -7.7653 -2.7530
-3.9619 -7.3640 1.1489
```

M_tot: 18.000 μB/cell
ΔH_f (0 K): -2730.6 meV/atom
Symmetry: Cm, No. 8
V: 14.04 A^3/atom
Electronic total energy: -134.652 eV per cell

***

(7)
A plane-wave DFT calculation with PBE with a Hubbard U was carried out for an optimized crystal structure of SrNdMnO4.

```
SrNdMnO4
1.0
-1.9285 1.9285 6.4005
1.9285 -1.9285 6.4005
1.9285 1.9285 -6.4005
O Mn Sr Nd
4 1 1 1
Cartesian
1.9285 0.0000 6.2947
0.0000 0.0000 2.2691
0.0000 1.9285 6.2947
0.0000 0.0000 10.6592
0.0000 0.0000 0.0348
0.0000 0.0000 8.2605
0.0000 0.0000 4.5900
```

M_tot: 4.000 μB/cell
ΔH_f (0 K): -2980.6 meV/atom
Symmetry: I4mm, No. 107
V: 13.60 A^3/atom
Electronic total energy: -51.859 eV per cell

***

(8)
A plane-wave DFT calculation with PBE with a Hubbard U was carried out for an optimized crystal structure of Sr2NdMnO6.

```
Sr2NdMnO6
1.0
0.0000 -4.1953 -4.1953
4.1953 0.0000 -4.1953
4.1953 -4.1953 0.0000
Nd O Sr Mn
1 6 2 1
Cartesian
4.1953 -4.1953 -4.1953
4.1953 -4.1953 -1.9107
4.1953 -6.4799 -4.1953
4.1953 -4.1953 -6.4799
1.9107 -4.1953 -4.1953
6.4799 -4.1953 -4.1953
4.1953 -1.9107 -4.1953
6.2930 -6.2930 -6.2930
2.0977 -2.0977 -2.0977
0.0000 0.0000 0.0000
```

M_tot: 2.000 μB/cell
ΔH_f (0 K): -2712.9 meV/atom
Symmetry: Fm-3m, No. 225
V: 14.77 A^3/atom
Electronic total energy: -68.336 eV per cell